[1]
Entry from the Materials Project database: an optimized crystal structure of LiMn2B2O6 (GGA+U).

Computed properties:
Its spin magnetization is 9.0 μB/f.u. Its mass density is 3137 kg/m³. The calculated formation energy comes out at -2.426 eV/atom. For the offset from the most stable computed form, the calculation gives 6 meV/atom.

a = 5.280 Å, b = 5.791 Å, c = 20.487 Å
α = 86.74°, β = 82.78°, γ = 89.52°
Fractional positions:
Li: 0.000 0.000 0.000
Li: 0.022 0.427 0.616
Li: 0.221 0.226 0.214
Li: 0.417 0.024 0.814
Li: 0.622 0.826 0.416
Mn: 0.104 0.595 0.739
Mn: 0.118 0.625 0.475
Mn: 0.306 0.395 0.338
Mn: 0.326 0.436 0.072
Mn: 0.518 0.215 0.934
Mn: 0.518 0.225 0.675
Mn: 0.705 0.997 0.539
Mn: 0.716 0.019 0.275
Mn: 0.897 0.785 0.138
Mn: 0.909 0.817 0.877
B: 0.055 0.323 0.871
B: 0.162 0.889 0.342
B: 0.251 0.125 0.469
B: 0.365 0.702 0.940
B: 0.455 0.936 0.066
B: 0.562 0.491 0.542
B: 0.651 0.725 0.669
B: 0.766 0.288 0.144
B: 0.851 0.520 0.268
B: 0.962 0.089 0.742
O: 0.082 0.932 0.783
O: 0.086 0.951 0.499
O: 0.104 0.725 0.949
O: 0.106 0.497 0.262
O: 0.112 0.241 0.699
O: 0.134 0.319 0.440
O: 0.287 0.733 0.383
O: 0.295 0.761 0.097
O: 0.300 0.497 0.548
O: 0.309 0.304 0.860
O: 0.311 0.040 0.299
O: 0.324 0.120 0.034
O: 0.476 0.534 0.978
O: 0.486 0.551 0.699
O: 0.504 0.298 0.146
O: 0.506 0.101 0.462
O: 0.517 0.854 0.897
O: 0.535 0.919 0.640
O: 0.685 0.334 0.583
O: 0.687 0.345 0.299
O: 0.700 0.097 0.749
O: 0.710 0.932 0.061
O: 0.712 0.642 0.499
O: 0.732 0.713 0.240
O: 0.880 0.117 0.183
O: 0.900 0.893 0.349
O: 0.905 0.149 0.909
O: 0.906 0.700 0.663
O: 0.928 0.509 0.841
O: 0.929 0.445 0.108

[2]
Entry from the Materials Project database: an optimized crystal structure of Li5Mn6B6O18 (GGA+U).

Computed properties:
Its spin magnetization is 29.0 μB/f.u. Its mass density is 3147 kg/m³. The calculated formation energy comes out at -2.469 eV/atom. For the offset from the most stable computed form, the calculation gives 13 meV/atom.

a = 14.745 Å, b = 14.745 Å, c = 8.241 Å
α = 90.42°, β = 90.42°, γ = 24.99°
Fractional positions:
Li: 0.000 0.000 0.000
Li: 0.066 0.066 0.446
Li: 0.144 0.144 0.028
Li: 0.250 0.250 0.502
Li: 0.316 0.316 0.948
Li: 0.500 0.500 0.001
Li: 0.564 0.564 0.448
Li: 0.750 0.750 0.497
Li: 0.816 0.816 0.951
Li: 0.895 0.895 0.528
Mn: 0.080 0.571 0.300
Mn: 0.162 0.660 0.841
Mn: 0.229 0.720 0.336
Mn: 0.329 0.822 0.794
Mn: 0.418 0.904 0.340
Mn: 0.477 0.974 0.836
Mn: 0.571 0.080 0.300
Mn: 0.660 0.162 0.841
Mn: 0.720 0.229 0.336
Mn: 0.822 0.329 0.794
Mn: 0.904 0.418 0.340
Mn: 0.974 0.477 0.836
B: 0.063 0.575 0.662
B: 0.154 0.154 0.657
B: 0.237 0.237 0.159
B: 0.315 0.823 0.160
B: 0.403 0.403 0.151
B: 0.489 0.489 0.659
B: 0.575 0.063 0.662
B: 0.653 0.653 0.651
B: 0.740 0.740 0.159
B: 0.823 0.315 0.160
B: 0.904 0.904 0.157
B: 0.988 0.988 0.660
O: 0.036 0.036 0.673
O: 0.039 0.542 0.522
O: 0.049 0.548 0.814
O: 0.097 0.635 0.651
O: 0.126 0.126 0.795
O: 0.134 0.134 0.504
O: 0.202 0.202 0.678
O: 0.210 0.210 0.298
O: 0.215 0.215 0.008
O: 0.285 0.285 0.171
O: 0.292 0.791 0.018
O: 0.299 0.794 0.311
O: 0.347 0.886 0.150
O: 0.375 0.375 0.284
O: 0.384 0.384 0.994
O: 0.451 0.451 0.173
O: 0.461 0.461 0.793
O: 0.472 0.472 0.502
O: 0.537 0.537 0.679
O: 0.542 0.039 0.522
O: 0.548 0.049 0.814
O: 0.625 0.625 0.785
O: 0.634 0.634 0.495
O: 0.635 0.097 0.651
O: 0.702 0.702 0.672
O: 0.711 0.711 0.292
O: 0.723 0.723 0.001
O: 0.788 0.788 0.184
O: 0.791 0.292 0.018
O: 0.794 0.299 0.311
O: 0.877 0.877 0.295
O: 0.885 0.885 0.003
O: 0.886 0.347 0.150
O: 0.953 0.953 0.177
O: 0.961 0.961 0.797
O: 0.967 0.967 0.507

[3]
Entry from the Materials Project database: an optimized crystal structure of Li2Mn3B3O9 (GGA+U).

Computed properties:
Its spin magnetization is 14.0 μB/f.u. Its mass density is 3138 kg/m³. The calculated formation energy comes out at -2.451 eV/atom. For the offset from the most stable computed form, the calculation gives 11 meV/atom.

a = 5.862 Å, b = 8.287 Å, c = 9.067 Å
α = 112.66°, β = 102.26°, γ = 102.11°
Fractional positions:
Li: 0.000 0.000 0.000
Li: 0.124 0.774 0.453
Li: 0.483 0.106 0.115
Li: 0.803 0.447 0.788
Mn: 0.202 0.757 0.116
Mn: 0.318 0.378 0.018
Mn: 0.519 0.078 0.771
Mn: 0.618 0.683 0.670
Mn: 0.850 0.408 0.426
Mn: 0.963 0.030 0.362
B: 0.184 0.753 0.773
B: 0.298 0.341 0.335
B: 0.524 0.092 0.454
B: 0.647 0.700 0.017
B: 0.866 0.421 0.110
B: 0.972 0.017 0.689
O: 0.134 0.316 0.424
O: 0.211 0.143 0.786
O: 0.235 0.239 0.165
O: 0.253 0.865 0.943
O: 0.302 0.949 0.374
O: 0.322 0.801 0.676
O: 0.502 0.654 0.107
O: 0.536 0.466 0.432
O: 0.585 0.594 0.847
O: 0.621 0.192 0.626
O: 0.649 0.270 0.030
O: 0.652 0.137 0.352
O: 0.813 0.986 0.782
O: 0.865 0.852 0.105
O: 0.902 0.916 0.521
O: 0.951 0.524 0.284
O: 0.969 0.601 0.685
O: 0.995 0.471 0.013

[4]
Entry from the Materials Project database: an optimized crystal structure of LiMn2B2O6 (GGA+U).

Computed properties:
Its spin magnetization is 9.0 μB/f.u. Its mass density is 3141 kg/m³. The calculated formation energy comes out at -2.424 eV/atom. For the offset from the most stable computed form, the calculation gives 8 meV/atom.

a = 5.295 Å, b = 5.780 Å, c = 13.425 Å
α = 97.50°, β = 90.99°, γ = 113.72°
Fractional positions:
Li: 0.000 0.000 0.000
Li: 0.171 0.960 0.625
Li: 0.665 0.334 0.333
Mn: 0.182 0.359 0.445
Mn: 0.311 0.269 0.850
Mn: 0.516 0.033 0.111
Mn: 0.642 0.920 0.512
Mn: 0.838 0.684 0.770
Mn: 0.984 0.605 0.185
B: 0.071 0.809 0.406
B: 0.083 0.145 0.227
B: 0.408 0.480 0.072
B: 0.423 0.819 0.895
B: 0.742 0.144 0.730
B: 0.755 0.475 0.553
O: 0.073 0.009 0.482
O: 0.120 0.987 0.145
O: 0.194 0.875 0.882
O: 0.219 0.361 0.994
O: 0.269 0.715 0.427
O: 0.274 0.236 0.309
O: 0.397 0.684 0.140
O: 0.475 0.654 0.821
O: 0.536 0.537 0.538
O: 0.552 0.048 0.651
O: 0.610 0.393 0.098
O: 0.613 0.927 0.978
O: 0.734 0.339 0.803
O: 0.793 0.304 0.476
O: 0.858 0.210 0.221
O: 0.878 0.702 0.329
O: 0.948 0.050 0.745
O: 0.948 0.594 0.634

[5]
Entry from the Materials Project database: an optimized crystal structure of Li5Mn6B6O18 (GGA+U).

Computed properties:
Its spin magnetization is 29.0 μB/f.u. Its mass density is 3180 kg/m³. The calculated formation energy comes out at -2.472 eV/atom. For the offset from the most stable computed form, the calculation gives 10 meV/atom.

a = 6.347 Å, b = 8.342 Å, c = 8.785 Å
α = 118.19°, β = 111.02°, γ = 90.01°
Fractional positions:
Li: 0.000 0.000 0.000
Li: 0.137 0.696 0.267
Li: 0.297 0.273 0.590
Li: 0.489 0.007 0.999
Li: 0.785 0.275 0.588
Mn: 0.053 0.965 0.620
Mn: 0.209 0.626 0.923
Mn: 0.400 0.383 0.301
Mn: 0.569 0.970 0.632
Mn: 0.706 0.630 0.931
Mn: 0.892 0.358 0.294
B: 0.313 0.653 0.617
B: 0.385 0.003 0.288
B: 0.458 0.307 0.944
B: 0.802 0.656 0.624
B: 0.894 0.997 0.286
B: 0.979 0.316 0.951
O: 0.088 0.406 0.151
O: 0.268 0.759 0.532
O: 0.269 0.456 0.499
O: 0.329 0.814 0.203
O: 0.334 0.091 0.180
O: 0.398 0.728 0.810
O: 0.406 0.117 0.827
O: 0.430 0.426 0.873
O: 0.491 0.112 0.485
O: 0.549 0.379 0.140
O: 0.729 0.460 0.500
O: 0.771 0.767 0.546
O: 0.826 0.071 0.165
O: 0.873 0.810 0.215
O: 0.902 0.726 0.817
O: 0.921 0.126 0.844
O: 0.930 0.428 0.871
O: 0.988 0.120 0.482

[6]
Entry from the Materials Project database: an optimized crystal structure of Li5Mn6B6O18 (GGA+U).

Computed properties:
Its spin magnetization is 29.0 μB/f.u. Its mass density is 3152 kg/m³. The calculated formation energy comes out at -2.470 eV/atom. For the offset from the most stable computed form, the calculation gives 13 meV/atom.

a = 14.585 Å, b = 14.585 Å, c = 8.334 Å
α = 90.15°, β = 90.15°, γ = 25.23°
Fractional positions:
Li: 0.000 0.000 0.000
Li: 0.104 0.104 0.475
Li: 0.170 0.170 0.922
Li: 0.250 0.250 0.502
Li: 0.354 0.354 0.970
Li: 0.500 0.500 0.002
Li: 0.605 0.605 0.472
Li: 0.750 0.750 0.500
Li: 0.855 0.855 0.976
Li: 0.920 0.920 0.421
Mn: 0.007 0.515 0.828
Mn: 0.087 0.582 0.314
Mn: 0.180 0.676 0.759
Mn: 0.264 0.758 0.328
Mn: 0.336 0.832 0.814
Mn: 0.430 0.926 0.259
Mn: 0.515 0.007 0.828
Mn: 0.582 0.087 0.314
Mn: 0.676 0.180 0.759
Mn: 0.758 0.264 0.328
Mn: 0.832 0.336 0.814
Mn: 0.926 0.430 0.259
B: 0.008 0.008 0.635
B: 0.090 0.090 0.136
B: 0.170 0.680 0.126
B: 0.258 0.258 0.137
B: 0.340 0.340 0.642
B: 0.419 0.930 0.626
B: 0.510 0.510 0.638
B: 0.590 0.590 0.142
B: 0.680 0.170 0.126
B: 0.760 0.760 0.136
B: 0.841 0.841 0.635
B: 0.930 0.419 0.626
O: 0.057 0.057 0.653
O: 0.063 0.063 0.273
O: 0.070 0.070 0.984
O: 0.136 0.673 0.275
O: 0.139 0.139 0.147
O: 0.147 0.647 0.987
O: 0.223 0.725 0.111
O: 0.230 0.230 0.273
O: 0.237 0.237 0.986
O: 0.307 0.307 0.153
O: 0.309 0.309 0.773
O: 0.322 0.322 0.487
O: 0.385 0.925 0.775
O: 0.387 0.387 0.671
O: 0.397 0.898 0.487
O: 0.475 0.973 0.611
O: 0.481 0.481 0.773
O: 0.491 0.491 0.488
O: 0.559 0.559 0.658
O: 0.561 0.561 0.274
O: 0.571 0.571 0.988
O: 0.638 0.638 0.169
O: 0.647 0.147 0.987
O: 0.673 0.136 0.275
O: 0.725 0.223 0.111
O: 0.731 0.731 0.270
O: 0.741 0.741 0.985
O: 0.809 0.809 0.158
O: 0.814 0.814 0.774
O: 0.820 0.820 0.485
O: 0.890 0.890 0.645
O: 0.898 0.397 0.487
O: 0.925 0.385 0.775
O: 0.973 0.475 0.611
O: 0.979 0.979 0.770
O: 0.988 0.988 0.483

[7]
Entry from the Materials Project database: an optimized crystal structure of Li5Mn6B6O18 (GGA+U).

Computed properties:
Its spin magnetization is 29.0 μB/f.u. Its mass density is 3150 kg/m³. The calculated formation energy comes out at -2.471 eV/atom. For the offset from the most stable computed form, the calculation gives 11 meV/atom.

a = 10.428 Å, b = 10.428 Å, c = 8.286 Å
α = 113.20°, β = 113.20°, γ = 75.37°
Fractional positions:
Li: 0.000 0.000 0.000
Li: 0.119 0.616 0.321
Li: 0.247 0.753 0.007
Li: 0.371 0.371 0.336
Li: 0.411 0.906 0.587
Li: 0.616 0.119 0.321
Li: 0.657 0.657 0.585
Li: 0.753 0.247 0.007
Li: 0.866 0.866 0.316
Li: 0.906 0.411 0.587
Mn: 0.064 0.314 0.302
Mn: 0.140 0.895 0.668
Mn: 0.202 0.448 0.945
Mn: 0.314 0.064 0.302
Mn: 0.392 0.642 0.693
Mn: 0.448 0.202 0.945
Mn: 0.560 0.807 0.288
Mn: 0.642 0.392 0.693
Mn: 0.696 0.947 0.937
Mn: 0.807 0.560 0.288
Mn: 0.895 0.140 0.668
Mn: 0.947 0.696 0.937
B: 0.092 0.592 0.636
B: 0.134 0.876 0.295
B: 0.177 0.177 0.981
B: 0.346 0.346 0.642
B: 0.378 0.639 0.315
B: 0.425 0.925 0.972
B: 0.592 0.092 0.636
B: 0.639 0.378 0.315
B: 0.678 0.678 0.973
B: 0.841 0.841 0.632
B: 0.876 0.134 0.295
B: 0.925 0.425 0.972
O: 0.024 0.519 0.049
O: 0.037 0.538 0.444
O: 0.050 0.549 0.745
O: 0.074 0.823 0.377
O: 0.085 0.845 0.102
O: 0.120 0.120 0.791
O: 0.138 0.138 0.097
O: 0.190 0.689 0.722
O: 0.242 0.958 0.404
O: 0.275 0.275 0.060
O: 0.284 0.284 0.451
O: 0.317 0.317 0.771
O: 0.321 0.610 0.126
O: 0.329 0.580 0.403
O: 0.374 0.863 0.778
O: 0.383 0.887 0.084
O: 0.441 0.441 0.699
O: 0.483 0.728 0.423
O: 0.519 0.024 0.049
O: 0.538 0.037 0.444
O: 0.549 0.050 0.745
O: 0.580 0.329 0.403
O: 0.610 0.321 0.126
O: 0.619 0.619 0.778
O: 0.639 0.639 0.086
O: 0.689 0.190 0.722
O: 0.728 0.483 0.423
O: 0.774 0.774 0.046
O: 0.787 0.787 0.439
O: 0.798 0.798 0.739
O: 0.823 0.074 0.377
O: 0.845 0.085 0.102
O: 0.863 0.374 0.778
O: 0.887 0.383 0.084
O: 0.938 0.938 0.717
O: 0.958 0.242 0.404

[8]
Entry from the Materials Project database: an optimized crystal structure of LiMn2B2O6 (GGA+U).

Computed properties:
Its spin magnetization is 0.0 μB/f.u. Its mass density is 3128 kg/m³. The calculated formation energy comes out at -2.421 eV/atom. For the offset from the most stable computed form, the calculation gives 11 meV/atom.

a = 5.310 Å, b = 6.184 Å, c = 7.673 Å
α = 81.48°, β = 87.89°, γ = 87.77°
Fractional positions:
Li: 0.095 0.361 0.304
Li: 0.905 0.639 0.696
Mn: 0.093 0.069 0.683
Mn: 0.405 0.435 0.823
Mn: 0.595 0.565 0.177
Mn: 0.907 0.931 0.317
B: 0.073 0.718 0.005
B: 0.414 0.739 0.492
B: 0.586 0.261 0.508
B: 0.927 0.282 0.995
O: 0.043 0.351 0.829
O: 0.053 0.167 0.128
O: 0.163 0.797 0.518
O: 0.326 0.645 0.986
O: 0.439 0.357 0.372
O: 0.467 0.207 0.677
O: 0.533 0.793 0.323
O: 0.561 0.643 0.628
O: 0.674 0.355 0.014
O: 0.837 0.203 0.482
O: 0.947 0.833 0.872
O: 0.957 0.649 0.171

Q: What is the mass density in the first record?
A: 3137 kg/m³

Please write out number 8 again, unchanged.
Entry from the Materials Project database: an optimized crystal structure of LiMn2B2O6 (GGA+U).

Computed properties:
Its spin magnetization is 0.0 μB/f.u. Its mass density is 3128 kg/m³. The calculated formation energy comes out at -2.421 eV/atom. For the offset from the most stable computed form, the calculation gives 11 meV/atom.

a = 5.310 Å, b = 6.184 Å, c = 7.673 Å
α = 81.48°, β = 87.89°, γ = 87.77°
Fractional positions:
Li: 0.095 0.361 0.304
Li: 0.905 0.639 0.696
Mn: 0.093 0.069 0.683
Mn: 0.405 0.435 0.823
Mn: 0.595 0.565 0.177
Mn: 0.907 0.931 0.317
B: 0.073 0.718 0.005
B: 0.414 0.739 0.492
B: 0.586 0.261 0.508
B: 0.927 0.282 0.995
O: 0.043 0.351 0.829
O: 0.053 0.167 0.128
O: 0.163 0.797 0.518
O: 0.326 0.645 0.986
O: 0.439 0.357 0.372
O: 0.467 0.207 0.677
O: 0.533 0.793 0.323
O: 0.561 0.643 0.628
O: 0.674 0.355 0.014
O: 0.837 0.203 0.482
O: 0.947 0.833 0.872
O: 0.957 0.649 0.171

Repeat the fourth record exactly.
Entry from the Materials Project database: an optimized crystal structure of LiMn2B2O6 (GGA+U).

Computed properties:
Its spin magnetization is 9.0 μB/f.u. Its mass density is 3141 kg/m³. The calculated formation energy comes out at -2.424 eV/atom. For the offset from the most stable computed form, the calculation gives 8 meV/atom.

a = 5.295 Å, b = 5.780 Å, c = 13.425 Å
α = 97.50°, β = 90.99°, γ = 113.72°
Fractional positions:
Li: 0.000 0.000 0.000
Li: 0.171 0.960 0.625
Li: 0.665 0.334 0.333
Mn: 0.182 0.359 0.445
Mn: 0.311 0.269 0.850
Mn: 0.516 0.033 0.111
Mn: 0.642 0.920 0.512
Mn: 0.838 0.684 0.770
Mn: 0.984 0.605 0.185
B: 0.071 0.809 0.406
B: 0.083 0.145 0.227
B: 0.408 0.480 0.072
B: 0.423 0.819 0.895
B: 0.742 0.144 0.730
B: 0.755 0.475 0.553
O: 0.073 0.009 0.482
O: 0.120 0.987 0.145
O: 0.194 0.875 0.882
O: 0.219 0.361 0.994
O: 0.269 0.715 0.427
O: 0.274 0.236 0.309
O: 0.397 0.684 0.140
O: 0.475 0.654 0.821
O: 0.536 0.537 0.538
O: 0.552 0.048 0.651
O: 0.610 0.393 0.098
O: 0.613 0.927 0.978
O: 0.734 0.339 0.803
O: 0.793 0.304 0.476
O: 0.858 0.210 0.221
O: 0.878 0.702 0.329
O: 0.948 0.050 0.745
O: 0.948 0.594 0.634